54
Lattice="11.815 0.000 0.000 -5.907 10.232 0.000 0.000 0.000 7.508" Properties=species:S:1:pos:R:3 comment="Ba7Cu3H17 (r²SCAN, relaxed)" final_energy_ev_per_atom=-10.73 formation_enthalpy_0k_ev_per_fu=-13.067 pbc="T T T"
Ba -1.989 5.573 0.000
Ba -0.164 2.775 4.825
Ba -3.422 8.986 4.825
Ba 2.485 1.246 1.071
Ba 0.000 6.821 3.611
Ba -0.087 9.168 0.000
Ba 2.075 5.723 0.000
Ba 5.821 1.064 3.754
Ba 3.918 4.659 3.754
Ba 5.907 3.411 7.365
Ba 3.586 8.703 4.825
Ba 5.744 7.457 1.071
Ba 9.493 1.529 1.071
Ba 7.983 4.509 3.754
Cu -2.954 8.360 1.727
Cu 0.144 3.494 1.727
Cu 2.954 1.872 5.481
Cu 2.809 8.610 1.727
Cu 8.717 1.622 5.481
Cu 6.052 6.738 5.481
H -3.040 6.876 2.385
H -4.301 9.189 2.206
H -1.220 4.097 2.383
H 0.100 1.913 2.206
H -1.482 5.091 4.941
H -2.835 8.395 0.100
H 0.054 3.579 0.100
H 1.606 1.043 5.960
H -1.750 9.240 2.383
H 1.473 4.161 2.385
H 0.000 6.821 1.112
H 0.000 6.821 6.287
H 3.073 1.836 3.854
H -0.758 8.970 4.941
H 4.158 0.992 6.137
H 2.867 3.356 6.139
H 5.150 1.262 1.187
H 2.240 6.403 4.941
H 1.567 9.427 2.385
H 2.970 7.127 2.383
H 4.425 5.141 1.187
H 2.781 8.489 0.100
H 5.907 3.411 2.533
H 5.907 3.411 4.866
H 7.475 0.805 6.139
H 4.687 6.135 6.137
H 4.201 9.362 2.206
H 8.688 1.743 3.854
H 5.961 6.653 3.854
H 8.147 3.829 1.187
H 10.108 0.869 5.960
H 8.877 3.105 6.137
H 6.008 8.319 5.960
H 7.380 6.071 6.139